No. 1
Here is a relaxed structure of Li5V3P8O29 from the Materials Project. Energies are from GGA+U.

The calculation puts the formation energy at -2.618 eV per atom. The value obtained for the total energy is -7.03 eV per atom. The calculation puts the total moment at 4.00 μB per cell. As for the space group: No. 1. The energy above the lowest structure with this stoichiometry is 0.0029 eV/atom.

Unit cell a=9.755 b=9.796 c=14.018 alpha=89.83 beta=89.98 gamma=60.14
Fractional positions:
Li 0.000 0.000 0.000
Li 0.008 0.576 0.505
Li 0.103 0.820 0.384
Li 0.440 0.008 0.503
Li 0.454 0.139 0.001
Li 0.537 0.251 0.384
Li 0.547 0.817 0.882
Li 0.681 0.236 0.879
Li 0.775 0.911 0.447
Li 0.868 0.590 0.999
V 0.204 0.483 0.697
V 0.206 0.913 0.192
V 0.338 0.912 0.693
V 0.339 0.348 0.189
V 0.769 0.482 0.199
V 0.777 0.345 0.684
P 0.000 0.003 0.782
P 0.002 0.599 0.285
P 0.086 0.825 0.599
P 0.088 0.685 0.101
P 0.102 0.248 0.073
P 0.109 0.249 0.570
P 0.438 0.578 0.315
P 0.446 0.576 0.810
P 0.453 0.144 0.784
P 0.458 0.003 0.285
P 0.543 0.229 0.601
P 0.544 0.824 0.103
P 0.687 0.234 0.097
P 0.688 0.691 0.601
P 0.856 0.137 0.283
P 0.860 0.593 0.786
O 0.001 0.675 0.017
O 0.007 0.924 0.874
O 0.026 0.572 0.783
O 0.027 0.996 0.284
O 0.092 0.256 0.966
O 0.096 0.403 0.611
O 0.098 0.099 0.113
O 0.099 0.254 0.464
O 0.111 0.656 0.606
O 0.111 0.830 0.100
O 0.152 0.013 0.762
O 0.154 0.443 0.272
O 0.242 0.825 0.610
O 0.250 0.533 0.119
O 0.258 0.241 0.109
O 0.262 0.103 0.609
O 0.284 0.724 0.276
O 0.292 0.290 0.766
O 0.295 0.583 0.768
O 0.301 0.004 0.272
O 0.388 0.382 0.611
O 0.394 0.812 0.121
O 0.432 0.172 0.276
O 0.438 0.994 0.785
O 0.448 0.574 0.421
O 0.450 0.424 0.274
O 0.450 0.727 0.773
O 0.458 0.565 0.916
O 0.517 0.831 0.602
O 0.522 0.249 0.098
O 0.532 0.157 0.874
O 0.533 0.911 0.012
O 0.545 0.931 0.376
O 0.553 0.135 0.513
O 0.565 0.120 0.694
O 0.567 0.912 0.194
O 0.585 0.585 0.267
O 0.593 0.427 0.764
O 0.676 0.393 0.120
O 0.687 0.256 0.605
O 0.689 0.533 0.610
O 0.693 0.657 0.104
O 0.762 0.127 0.364
O 0.762 0.711 0.700
O 0.771 0.665 0.876
O 0.775 0.162 0.006
O 0.781 0.703 0.520
O 0.783 0.117 0.184
O 0.852 0.171 0.776
O 0.856 0.296 0.273
O 0.856 0.574 0.277
O 0.867 0.435 0.763
O 0.956 0.397 0.120
O 0.961 0.242 0.616
O 0.979 0.914 0.692
O 0.984 0.712 0.197
O 0.993 0.686 0.376
O 0.996 0.900 0.509


No. 2
Here is a relaxed structure of LiVP2O8 from the Materials Project. Energies are from GGA+U.

The calculation puts the formation energy at -2.502 eV per atom. The value obtained for the total energy is -7.02 eV per atom. The calculation puts the total moment at 0.00 μB per cell. As for the space group: No. 12. The energy above the lowest structure with this stoichiometry is 0.0494 eV/atom.

Unit cell a=4.742 b=4.742 c=6.681 alpha=92.94 beta=92.94 gamma=67.11
Fractional positions:
Li 0.000 0.000 0.000
V 0.000 0.000 0.500
P 0.344 0.344 0.264
P 0.656 0.656 0.736
O 0.220 0.702 0.298
O 0.226 0.226 0.444
O 0.249 0.249 0.064
O 0.298 0.780 0.702
O 0.702 0.220 0.298
O 0.751 0.751 0.936
O 0.774 0.774 0.556
O 0.780 0.298 0.702


No. 3
Here is a relaxed structure of Li7V3P8O29 from the Materials Project. Energies are from GGA+U.

The calculation puts the formation energy at -2.684 eV per atom. The value obtained for the total energy is -6.99 eV per atom. The calculation puts the total moment at 8.00 μB per cell. As for the space group: No. 1. The energy above the lowest structure with this stoichiometry is 0.0084 eV/atom.

Unit cell a=9.854 b=9.856 c=13.951 alpha=89.40 beta=89.37 gamma=60.12
Fractional positions:
Li 0.000 0.000 0.000
Li 0.002 0.429 0.454
Li 0.094 0.657 0.325
Li 0.270 0.372 0.885
Li 0.359 0.285 0.386
Li 0.414 0.017 0.954
Li 0.417 0.572 0.449
Li 0.557 0.432 0.949
Li 0.562 0.006 0.452
Li 0.641 0.110 0.825
Li 0.654 0.673 0.272
Li 0.659 0.668 0.773
Li 0.983 0.017 0.500
Li 0.991 0.578 0.952
V 0.320 0.902 0.138
V 0.322 0.775 0.641
V 0.757 0.902 0.637
V 0.760 0.337 0.141
V 0.887 0.336 0.638
V 0.887 0.772 0.137
P 0.003 0.561 0.731
P 0.006 0.425 0.237
P 0.096 0.659 0.547
P 0.101 0.253 0.050
P 0.237 0.647 0.045
P 0.238 0.116 0.550
P 0.409 0.022 0.737
P 0.412 0.565 0.231
P 0.546 0.018 0.231
P 0.550 0.427 0.731
P 0.631 0.252 0.544
P 0.643 0.112 0.047
P 0.654 0.668 0.514
P 0.654 0.669 0.014
P 0.987 0.006 0.761
P 0.991 0.003 0.261
O 0.000 0.010 0.866
O 0.069 0.254 0.546
O 0.070 0.673 0.043
O 0.082 0.346 0.330
O 0.088 0.554 0.822
O 0.089 0.573 0.459
O 0.109 0.558 0.641
O 0.112 0.353 0.971
O 0.118 0.320 0.151
O 0.138 0.866 0.713
O 0.140 0.994 0.210
O 0.226 0.810 0.051
O 0.230 0.962 0.554
O 0.240 0.084 0.046
O 0.245 0.673 0.546
O 0.305 0.133 0.651
O 0.310 0.558 0.145
O 0.324 0.572 0.323
O 0.331 0.098 0.830
O 0.335 0.542 0.965
O 0.337 0.127 0.472
O 0.402 0.999 0.221
O 0.405 0.590 0.726
O 0.430 0.855 0.720
O 0.431 0.712 0.217
O 0.505 0.819 0.054
O 0.506 0.670 0.559
O 0.526 0.350 0.465
O 0.539 0.102 0.322
O 0.542 0.124 0.141
O 0.543 0.325 0.645
O 0.556 0.340 0.822
O 0.557 0.105 0.959
O 0.572 0.007 0.729
O 0.575 0.420 0.226
O 0.643 0.663 0.906
O 0.649 0.658 0.406
O 0.655 0.521 0.060
O 0.655 0.818 0.546
O 0.657 0.085 0.544
O 0.657 0.261 0.047
O 0.693 0.854 0.221
O 0.697 0.446 0.717
O 0.794 0.241 0.551
O 0.803 0.671 0.045
O 0.805 0.520 0.554
O 0.809 0.969 0.058
O 0.839 0.002 0.730
O 0.839 0.708 0.721
O 0.840 0.447 0.220
O 0.850 0.153 0.213
O 0.947 0.245 0.054
O 0.953 0.825 0.558
O 0.978 0.155 0.710
O 0.985 0.416 0.721
O 0.987 0.855 0.230
O 0.993 0.587 0.228
O 0.995 0.015 0.367